# PmNd

A relaxed structure of PmNd (r2SCAN, Materials Project).

Formation energy   25 meV per atom

Unit cell a=3.7416 b=3.7416 c=5.8956 alpha=90.00 beta=90.00 gamma=120.00
With the nearest neighbours (Å) after each atom.
Atoms (fractional coordinates):
Pm1 0.0000 0.0000 0.0000  6 Nd 3.65, 6 Pm 3.74
Nd1 0.3333 0.6667 0.5000  6 Pm 3.65, 6 Nd 3.74